No. 1
A plane-wave DFT calculation with PBE-GGA was carried out for crystalline Os4C12SO12 at its relaxed geometry.

Cell: 7.392 17.252 8.247 Å, 90.00 104.82 90.00°
Sites, in units of the cell vectors:
1 Os 0.064 0.250 0.217
2 Os 0.323 0.134 0.170
3 Os 0.323 0.366 0.170
4 Os 0.428 0.250 0.458
5 Os 0.572 0.750 0.542
6 Os 0.677 0.634 0.830
7 Os 0.677 0.866 0.830
8 Os 0.936 0.750 0.783
9 C 0.011 0.666 0.664
10 C 0.011 0.834 0.664
11 C 0.144 0.088 0.991
12 C 0.144 0.412 0.991
13 C 0.163 0.750 0.956
14 C 0.308 0.750 0.435
15 C 0.315 0.047 0.317
16 C 0.315 0.453 0.317
17 C 0.378 0.171 0.598
18 C 0.378 0.329 0.598
19 C 0.469 0.594 0.900
20 C 0.469 0.906 0.900
21 C 0.531 0.094 0.100
22 C 0.531 0.406 0.100
23 C 0.622 0.671 0.402
24 C 0.622 0.829 0.402
25 C 0.685 0.547 0.683
26 C 0.685 0.953 0.683
27 C 0.692 0.250 0.565
28 C 0.837 0.250 0.044
29 C 0.856 0.588 0.009
30 C 0.856 0.912 0.009
31 C 0.989 0.166 0.336
32 C 0.989 0.334 0.336
33 S 0.252 0.250 0.012
34 S 0.748 0.750 0.988
35 O 0.028 0.064 0.879
36 O 0.028 0.436 0.879
37 O 0.064 0.616 0.592
38 O 0.064 0.884 0.592
39 O 0.151 0.750 0.362
40 O 0.301 0.507 0.396
41 O 0.301 0.993 0.396
42 O 0.307 0.750 0.056
43 O 0.345 0.124 0.688
44 O 0.345 0.376 0.688
45 O 0.348 0.570 0.952
46 O 0.348 0.930 0.952
47 O 0.652 0.070 0.048
48 O 0.652 0.430 0.048
49 O 0.655 0.624 0.312
50 O 0.655 0.876 0.312
51 O 0.693 0.250 0.944
52 O 0.699 0.007 0.604
53 O 0.699 0.493 0.604
54 O 0.849 0.250 0.638
55 O 0.936 0.116 0.408
56 O 0.936 0.384 0.408
57 O 0.972 0.564 0.121
58 O 0.972 0.936 0.121

Calculated values
space-group type: P2_1/m, No. 11
E (MP2020): -8.418 eV per atom
offset from the most stable computed form: 81 meV/atom



No. 2
A plane-wave DFT calculation with PBE-GGA was carried out for crystalline Pr3Sn5Au6 at its relaxed geometry.

Cell: 4.622 13.692 10.486 Å, 90.00 90.00 90.00°
Sites, in units of the cell vectors:
1 Pr 0.250 0.063 0.245
2 Pr 0.250 0.437 0.245
3 Pr 0.250 0.750 0.246
4 Pr 0.750 0.250 0.754
5 Pr 0.750 0.563 0.755
6 Pr 0.750 0.937 0.755
7 Sn 0.250 0.089 0.878
8 Sn 0.250 0.411 0.878
9 Sn 0.250 0.609 0.524
10 Sn 0.250 0.750 0.773
11 Sn 0.250 0.891 0.524
12 Sn 0.750 0.109 0.476
13 Sn 0.750 0.250 0.227
14 Sn 0.750 0.391 0.476
15 Sn 0.750 0.589 0.122
16 Sn 0.750 0.911 0.122
17 Au 0.250 0.088 0.620
18 Au 0.250 0.250 0.043
19 Au 0.250 0.250 0.438
20 Au 0.250 0.412 0.620
21 Au 0.250 0.605 0.975
22 Au 0.250 0.895 0.975
23 Au 0.750 0.105 0.025
24 Au 0.750 0.395 0.025
25 Au 0.750 0.588 0.380
26 Au 0.750 0.750 0.562
27 Au 0.750 0.750 0.957
28 Au 0.750 0.912 0.380

Calculated values
space-group type: Pmmn, No. 59



No. 3
A plane-wave DFT calculation with PBE-GGA was carried out for crystalline Mg3Au at its relaxed geometry.

Cell: 8.124 8.124 8.590 Å, 90.00 90.00 120.00°
Sites, in units of the cell vectors:
1 Mg 0.000 0.000 0.250
2 Mg 0.000 0.000 0.750
3 Mg 0.054 0.366 0.422
4 Mg 0.054 0.688 0.922
5 Mg 0.312 0.366 0.922
6 Mg 0.312 0.946 0.422
7 Mg 0.333 0.667 0.184
8 Mg 0.333 0.667 0.684
9 Mg 0.366 0.054 0.078
10 Mg 0.366 0.312 0.578
11 Mg 0.634 0.688 0.422
12 Mg 0.634 0.946 0.922
13 Mg 0.667 0.333 0.316
14 Mg 0.667 0.333 0.816
15 Mg 0.688 0.054 0.578
16 Mg 0.688 0.634 0.078
17 Mg 0.946 0.312 0.078
18 Mg 0.946 0.634 0.578
19 Au 0.000 0.340 0.750
20 Au 0.000 0.660 0.250
21 Au 0.340 0.000 0.750
22 Au 0.340 0.340 0.250
23 Au 0.660 0.000 0.250
24 Au 0.660 0.660 0.750

Calculated values
space-group type: P-3c1, No. 165
offset from the most stable computed form: 0 meV/atom



No. 4
A plane-wave DFT calculation with PBE-GGA was carried out for crystalline TbB3O6 at its relaxed geometry.

Cell: 8.341 6.163 7.814 Å, 90.00 90.00 90.00°
Sites, in units of the cell vectors:
1 Tb 0.000 0.009 0.250
2 Tb 0.000 0.991 0.750
3 Tb 0.500 0.491 0.750
4 Tb 0.500 0.509 0.250
5 B 0.000 0.489 0.750
6 B 0.000 0.511 0.250
7 B 0.184 0.383 0.506
8 B 0.184 0.617 0.006
9 B 0.316 0.117 0.006
10 B 0.316 0.883 0.506
11 B 0.500 0.011 0.250
12 B 0.500 0.989 0.750
13 B 0.684 0.117 0.494
14 B 0.684 0.883 0.994
15 B 0.816 0.383 0.994
16 B 0.816 0.617 0.494
17 O 0.080 0.358 0.366
18 O 0.080 0.642 0.866
19 O 0.117 0.340 0.667
20 O 0.117 0.660 0.167
21 O 0.163 0.058 0.992
22 O 0.163 0.942 0.492
23 O 0.337 0.442 0.492
24 O 0.337 0.558 0.992
25 O 0.383 0.160 0.167
26 O 0.383 0.840 0.667
27 O 0.420 0.142 0.866
28 O 0.420 0.858 0.366
29 O 0.580 0.142 0.634
30 O 0.580 0.858 0.134
31 O 0.617 0.160 0.333
32 O 0.617 0.840 0.833
33 O 0.663 0.442 0.008
34 O 0.663 0.558 0.508
35 O 0.837 0.058 0.508
36 O 0.837 0.942 0.008
37 O 0.883 0.340 0.833
38 O 0.883 0.660 0.333
39 O 0.920 0.358 0.134
40 O 0.920 0.642 0.634

Calculated values
space-group type: Pbcn, No. 60
E (MP2020): -8.609 eV per atom
offset from the most stable computed form: 25 meV/atom



No. 5
A plane-wave DFT calculation with PBE-GGA was carried out for crystalline Dy2MgSe4 at its relaxed geometry.

Cell: 14.187 8.260 6.846 Å, 90.00 90.00 90.00°
Sites, in units of the cell vectors:
1 Dy 0.000 0.000 0.000
2 Dy 0.000 0.500 0.000
3 Dy 0.235 0.250 0.497
4 Dy 0.265 0.750 0.997
5 Dy 0.500 0.000 0.500
6 Dy 0.500 0.500 0.500
7 Dy 0.735 0.250 0.003
8 Dy 0.765 0.750 0.503
9 Mg 0.093 0.750 0.582
10 Mg 0.407 0.250 0.082
11 Mg 0.593 0.750 0.918
12 Mg 0.907 0.250 0.418
13 Se 0.073 0.250 0.250
14 Se 0.092 0.750 0.211
15 Se 0.169 0.506 0.759
16 Se 0.169 0.994 0.759
17 Se 0.331 0.006 0.259
18 Se 0.331 0.494 0.259
19 Se 0.408 0.250 0.711
20 Se 0.427 0.750 0.750
21 Se 0.573 0.250 0.250
22 Se 0.592 0.750 0.289
23 Se 0.669 0.506 0.741
24 Se 0.669 0.994 0.741
25 Se 0.831 0.006 0.241
26 Se 0.831 0.494 0.241
27 Se 0.908 0.250 0.789
28 Se 0.927 0.750 0.750

Calculated values
space-group type: Pnma, No. 62
E (MP2020): -5.486 eV per atom
offset from the most stable computed form: 18 meV/atom



No. 6
A plane-wave DFT calculation with PBE-GGA was carried out for crystalline ZrTiCuS4 at its relaxed geometry.

Cell: 7.252 7.252 7.252 Å, 120.37 119.53 90.09°
Sites, in units of the cell vectors:
1 Zr 0.000 0.000 0.000
2 Zr 0.500 0.000 0.500
3 Ti 0.500 0.000 0.000
4 Ti 0.500 0.500 0.500
5 Cu 0.123 0.373 0.750
6 Cu 0.877 0.627 0.250
7 S 0.258 0.259 0.501
8 S 0.258 0.758 0.999
9 S 0.262 0.748 0.514
10 S 0.266 0.252 0.014
11 S 0.734 0.748 0.986
12 S 0.738 0.252 0.486
13 S 0.742 0.242 0.001
14 S 0.742 0.741 0.499

Calculated values
space-group type: Imma, No. 74
E (MP2020): -6.807 eV per atom



No. 7
A plane-wave DFT calculation with PBE-GGA was carried out for crystalline Li3Be at its relaxed geometry.

Cell: 4.814 4.814 4.814 Å, 133.11 133.11 68.48°
Sites, in units of the cell vectors:
1 Li 0.000 0.000 0.000
2 Li 0.250 0.750 0.500
3 Li 0.750 0.250 0.500
4 Be 0.500 0.500 0.000

Calculated values
space-group type: I4/mmm, No. 139
offset from the most stable computed form: 0 meV/atom



No. 8
A plane-wave DFT calculation with PBE-GGA was carried out for crystalline Ho2OsPd at its relaxed geometry.

Cell: 4.859 4.859 4.859 Å, 60.00 60.00 60.00°
Sites, in units of the cell vectors:
1 Ho 0.250 0.250 0.250
2 Ho 0.750 0.750 0.750
3 Os 0.000 0.000 0.000
4 Pd 0.500 0.500 0.500

Calculated values
space-group type: Fm-3m, No. 225



Looking at total DFT energy (no corrections) for the records above, in order, we have -8.12; -4.48; -2.43; -8.20; -5.22; -6.52; -2.12; -6.97 eV per atom.